The following is a DFT calculation (PBE) of a relaxed structure of Li4Ga3Si3BrO12.

Calculated values
MP2020-corrected energy ... -0.49828 Ry per atom
ΔE_f ... -5974 kJ/mol of formula units
Maximum piezoelectric response ... 0.13 C/m2

```
data_Li4Ga3Si3BrO12
_space_group_name_H-M_alt 'P -4 3 n'
_space_group_IT_number 218
_space_group_name_Hall 'P -4n 2 3'
_cell_length_a 8.653
_cell_length_b 8.653
_cell_length_c 8.653
_cell_angle_alpha 90.00
_cell_angle_beta 90.00
_cell_angle_gamma 90.00
loop_
_atom_site_label
_atom_site_type_symbol
_atom_site_fract_x
_atom_site_fract_y
_atom_site_fract_z
Li1 Li 0.179 0.179 0.179
Ga1 Ga 0.000 0.250 0.500
Si1 Si 0.000 0.500 0.250
Br1 Br 0.000 0.000 0.000
O1 O 0.096 0.372 0.647
```



The following is a DFT calculation (PBE) of a relaxed structure of Na3GaBr6.

Calculated values
MP2020-corrected energy ... -0.22751 Ry per atom
ΔE_f ... -1364 kJ/mol of formula units

```
data_Na3GaBr6
_space_group_name_H-M_alt 'F m -3 m'
_space_group_IT_number 225
_space_group_name_Hall '-F 4 2 3'
_cell_length_a 10.811
_cell_length_b 10.811
_cell_length_c 10.811
_cell_angle_alpha 90.00
_cell_angle_beta 90.00
_cell_angle_gamma 90.00
loop_
_atom_site_label
_atom_site_type_symbol
_atom_site_fract_x
_atom_site_fract_y
_atom_site_fract_z
Na1 Na 0.000 0.000 0.000
Na2 Na 0.250 0.250 0.250
Ga1 Ga 0.000 0.000 0.500
Br1 Br 0.000 0.000 0.264
```



The following is a DFT calculation (PBE) of a relaxed structure of Ga2PdBr8.

Calculated values
MP2020-corrected energy ... -0.24352 Ry per atom
ΔE_f ... -1169 kJ/mol of formula units

```
data_Ga2PdBr8
_space_group_name_H-M_alt 'C 1 2/m 1'
_space_group_IT_number 12
_space_group_name_Hall '-C 2y'
_cell_length_a 13.323
_cell_length_b 8.830
_cell_length_c 7.763
_cell_angle_alpha 90.00
_cell_angle_beta 98.80
_cell_angle_gamma 90.00
loop_
_atom_site_label
_atom_site_type_symbol
_atom_site_fract_x
_atom_site_fract_y
_atom_site_fract_z
Ga1 Ga 0.212 0.000 0.330
Pd1 Pd 0.000 0.000 0.000
Br1 Br 0.111 0.196 0.155
Br2 Br 0.121 0.500 0.712
Br3 Br 0.180 0.000 0.614
```



The following is a DFT calculation (PBE) of a relaxed structure of GaSeBr7.

Calculated values
MP2020-corrected energy ... -0.21290 Ry per atom
ΔE_f ... -780 kJ/mol of formula units
Maximum piezoelectric response ... 0.77 C/m2

```
data_GaSeBr7
_space_group_name_H-M_alt 'P 1 c 1'
_space_group_IT_number 7
_space_group_name_Hall 'P -2yc'
_cell_length_a 7.007
_cell_length_b 6.773
_cell_length_c 15.313
_cell_angle_alpha 90.00
_cell_angle_beta 104.07
_cell_angle_gamma 90.00
loop_
_atom_site_label
_atom_site_type_symbol
_atom_site_fract_x
_atom_site_fract_y
_atom_site_fract_z
Ga1 Ga 0.000 0.002 0.000
Se1 Se 0.286 0.407 0.160
Br1 Br 0.165 0.394 0.763
Br2 Br 0.320 0.126 0.003
Br3 Br 0.490 0.186 0.265
Br4 Br 0.539 0.390 0.631
Br5 Br 0.778 0.133 0.871
Br6 Br 0.929 0.130 0.134
Br7 Br 0.976 0.344 0.496
```